# Eu3B2O6

Crystalline Eu3B2O6 at its relaxed geometry (GGA-PBE, Materials Project).

Results
Formation energy from the elements, eV/atom: -3.19

```
data_Eu3B2O6
_symmetry_space_group_name_H-M 'R -3 c'
_symmetry_Int_Tables_number 167
_symmetry_space_group_name_Hall '-R 3 2"c'
_cell_length_a 9.0576
_cell_length_b 9.0576
_cell_length_c 12.7585
_cell_angle_alpha 90.00
_cell_angle_beta 90.00
_cell_angle_gamma 120.00
loop_
_atom_site_label
_atom_site_type_symbol
_atom_site_fract_x
_atom_site_fract_y
_atom_site_fract_z
_atom_site_occupancy
Eu1 Eu 0.0000 0.3492 0.2500 1
B1 B 0.0000 0.0000 0.1158 1
O1 O 0.0063 0.1572 0.3858 1
```